No. 1
Computed, not measured: a relaxed structure of Zn4Cu5Te3O18 at the GGA-PBE level of DFT. Values from VASP.

Cell and atoms, written as Quantum ESPRESSO input:
```
&SYSTEM
  ibrav = 0, nat = 60, ntyp = 4
/
ATOMIC_SPECIES
Cu 63.55 Cu.upf
O 16.00 O.upf
Zn 65.41 Zn.upf
Te 127.60 Te.upf
ATOMIC_POSITIONS angstrom
Cu -8.228 -7.424 7.661
Cu -3.724 -5.807 -0.271
Cu -9.006 -7.598 1.367
Cu -8.060 -3.274 5.913
Cu -5.425 -8.242 6.163
Cu -11.130 -9.279 3.740
Cu -3.892 -9.958 1.478
Cu -6.527 -4.989 1.228
Cu -0.821 -3.952 3.651
Cu -2.946 -5.634 6.023
O -9.072 -7.286 5.945
O -8.366 -12.430 6.419
O -2.494 -4.854 4.065
O -7.318 -8.730 1.433
O -2.497 -10.390 3.041
O -4.387 -2.892 3.340
O -10.356 -5.361 3.832
O -1.834 -8.949 0.805
O -10.118 -4.282 6.585
O -6.190 -6.466 6.867
O -8.139 -5.734 2.019
O -9.458 -8.378 3.326
O -4.260 -8.577 2.756
O -1.976 -9.606 5.741
O -9.976 -3.625 1.649
O -4.692 -4.263 0.848
O -7.692 -4.655 4.634
O -2.879 -5.946 1.445
O -9.454 -2.842 4.349
O -5.140 -5.600 3.180
O -6.812 -7.632 4.210
O -3.142 -12.648 5.816
O -5.762 -6.765 0.524
O -3.586 -0.802 0.972
O -7.260 -8.969 6.542
O -2.129 -3.273 1.970
O -8.809 -0.583 1.575
O -7.408 -3.196 2.231
O -10.730 -6.559 1.075
O -4.544 -10.035 5.159
O -9.822 -9.959 5.421
O -4.633 -4.502 5.958
O -7.565 -10.339 4.051
O -3.813 -7.497 5.371
O -1.596 -7.870 3.558
O -1.222 -6.673 6.316
Zn -6.144 -5.797 4.915
Zn -5.763 -11.224 4.235
Zn -5.808 -7.435 2.475
Zn -10.613 -10.031 7.187
Zn -6.189 -2.008 3.155
Zn -1.339 -3.201 0.203
Zn -1.346 -7.125 1.637
Zn -10.606 -6.107 5.753
Te -5.205 0.266 0.718
Te -8.884 -4.308 3.123
Te -3.068 -8.924 4.267
Te -8.294 -8.711 4.856
Te -3.658 -4.520 2.534
Te 0.000 0.000 0.000
CELL_PARAMETERS angstrom
-1.417 -8.569 -1.089
-0.123 -5.195 7.044
-10.411 0.532 1.436
```

* DFT total energy: -5.08 eV/atom
* formation energy from the elements: -1.3545 eV/atom

No. 2
Computed, not measured: a relaxed structure of Zn3Cu3Te2O12 at the GGA-PBE level of DFT. Values from VASP.

Cell and atoms, written as Quantum ESPRESSO input:
```
&SYSTEM
  ibrav = 0, nat = 40, ntyp = 4
/
ATOMIC_SPECIES
O 16.00 O.upf
Zn 65.41 Zn.upf
Te 127.60 Te.upf
Cu 63.55 Cu.upf
ATOMIC_POSITIONS angstrom
O -1.801 3.506 0.883
O -2.434 1.080 6.460
O -4.098 5.314 1.948
O -4.170 0.277 1.741
O -0.197 4.860 2.588
O -2.081 0.666 3.397
O -2.455 5.858 4.026
O -4.909 2.738 0.896
O -3.406 3.007 3.116
O -1.854 0.580 0.205
O 0.773 1.794 0.052
O -0.363 2.079 5.089
O -1.971 6.118 0.323
O 1.229 2.482 2.940
O 0.289 4.490 -0.503
O -2.962 3.664 5.861
O -4.450 0.459 4.627
O 2.707 2.736 5.158
O 0.292 -0.394 1.891
O 1.893 5.240 4.218
O -0.320 4.864 5.727
O 1.921 0.149 4.097
O 2.179 5.085 1.338
O -0.172 -0.546 5.663
Zn 0.515 3.429 1.265
Zn -3.933 -0.322 6.478
Zn -2.825 1.839 1.503
Zn -4.020 6.428 0.226
Zn -0.043 0.634 3.636
Zn 3.716 4.519 4.827
Te -3.527 -0.694 3.326
Te -1.654 4.539 -0.807
Te 2.969 1.705 3.503
Te -2.181 5.468 5.934
Cu 1.710 5.816 -0.530
Cu 1.854 -0.913 5.723
Cu -5.897 0.950 1.158
Cu -2.128 4.890 2.373
Cu -2.727 2.120 4.706
Cu 0.598 3.664 4.505
CELL_PARAMETERS angstrom
1.181 -3.467 7.583
4.739 6.927 -0.688
-8.116 2.049 -0.916
```

* DFT total energy: -5.06 eV/atom
* formation energy from the elements: -1.3808 eV/atom